NaCa9MnP7O28 GGA+U relaxed; calculated formation energy = -3224 meV/atom; space group = R3c (161); raw total energy = -7.23 eV per atom; spin magnetization = 0.11 μB per atom
1.0
12.851 -5.241 0.000
12.851 5.241 0.000
10.714 0.000 8.822
P Ca O Na Mn
14 18 56 2 2
direct
0.826 0.309 0.271
0.184 0.686 0.227
0.686 0.227 0.184
0.684 0.727 0.186
0.309 0.271 0.826
0.767 0.767 0.767
0.186 0.684 0.727
0.267 0.267 0.267
0.809 0.326 0.771
0.771 0.809 0.326
0.326 0.771 0.809
0.271 0.826 0.309
0.227 0.184 0.686
0.727 0.186 0.684
0.564 0.575 0.160
0.440 0.408 0.849
0.908 0.940 0.349
0.947 0.559 0.972
0.059 0.447 0.472
0.660 0.075 0.064
0.160 0.564 0.575
0.849 0.440 0.408
0.575 0.160 0.564
0.447 0.472 0.059
0.064 0.660 0.075
0.349 0.908 0.940
0.408 0.849 0.440
0.075 0.064 0.660
0.940 0.349 0.908
0.472 0.059 0.447
0.559 0.972 0.947
0.972 0.947 0.559
0.618 0.640 0.363
0.392 0.255 0.111
0.173 0.354 0.627
0.899 0.145 0.589
0.915 0.352 0.255
0.145 0.589 0.899
0.863 0.140 0.118
0.589 0.899 0.145
0.150 0.869 0.876
0.255 0.915 0.352
0.140 0.118 0.863
0.671 0.690 0.114
0.118 0.863 0.140
0.852 0.415 0.755
0.808 0.808 0.808
0.089 0.645 0.399
0.876 0.150 0.869
0.354 0.627 0.173
0.376 0.369 0.650
0.611 0.755 0.892
0.108 0.838 0.393
0.893 0.338 0.608
0.640 0.363 0.618
0.854 0.673 0.127
0.393 0.108 0.838
0.190 0.171 0.614
0.838 0.393 0.108
0.399 0.089 0.645
0.127 0.854 0.673
0.645 0.399 0.089
0.114 0.671 0.690
0.608 0.893 0.338
0.636 0.383 0.845
0.614 0.190 0.171
0.892 0.611 0.755
0.352 0.255 0.915
0.363 0.618 0.640
0.369 0.650 0.376
0.650 0.376 0.369
0.869 0.876 0.150
0.345 0.883 0.136
0.383 0.845 0.636
0.690 0.114 0.671
0.845 0.636 0.383
0.415 0.755 0.852
0.673 0.127 0.854
0.111 0.392 0.255
0.338 0.608 0.893
0.255 0.111 0.392
0.883 0.136 0.345
0.136 0.345 0.883
0.308 0.308 0.308
0.627 0.173 0.354
0.755 0.892 0.611
0.755 0.852 0.415
0.171 0.614 0.190
0.187 0.187 0.187
0.687 0.687 0.687
0.501 0.501 0.501
0.001 0.001 0.001

***

NaSrCaMnO6 GGA+U relaxed; calculated formation energy = -2019 meV/atom; space group = F-43m (216); raw total energy = -5.83 eV per atom; spin magnetization = 0.00 μB per atom
1.0
0.000 -4.122 -4.122
4.122 0.000 -4.122
4.122 -4.122 0.000
O Mn Ca Sr Na
6 1 1 1 1
direct
0.728 0.728 0.272
0.728 0.272 0.272
0.728 0.272 0.728
0.272 0.728 0.272
0.272 0.272 0.728
0.272 0.728 0.728
0.500 0.500 0.500
0.000 0.000 0.000
0.750 0.750 0.750
0.250 0.250 0.250

***

Na3Ca10Mn7V12O48 GGA+U relaxed; calculated formation energy = -2710 meV/atom; space group = P1 (1); raw total energy = -7.33 eV per atom; spin magnetization = 0.42 μB per atom
1.0
10.405 0.012 -3.696
-5.188 9.023 -3.683
-0.001 0.015 11.085
V O Mn Ca Na
12 48 7 10 3
direct
0.249 0.624 0.373
0.373 0.620 0.746
0.247 0.126 0.871
0.881 0.255 0.127
0.625 0.749 0.373
0.119 0.747 0.874
0.874 0.124 0.749
0.626 0.379 0.254
0.126 0.876 0.250
0.750 0.375 0.626
0.754 0.874 0.131
0.377 0.251 0.627
0.385 0.599 0.899
0.392 0.811 0.516
0.899 0.018 0.308
0.884 0.984 0.788
0.621 0.409 0.106
0.090 0.880 0.395
0.411 0.105 0.620
0.976 0.786 0.877
0.382 0.292 0.489
0.715 0.693 0.093
0.486 0.387 0.288
0.621 0.708 0.511
0.698 0.098 0.712
0.882 0.401 0.094
0.196 0.479 0.598
0.088 0.712 0.696
0.806 0.789 0.408
0.792 0.881 0.992
0.706 0.113 0.986
0.115 0.603 0.907
0.290 0.306 0.911
0.485 0.605 0.194
0.303 0.904 0.288
0.609 0.196 0.491
0.984 0.697 0.105
0.805 0.522 0.399
0.516 0.613 0.713
0.287 0.474 0.373
0.604 0.206 0.226
0.902 0.115 0.600
0.609 0.905 0.131
0.099 0.625 0.413
0.196 0.206 0.588
0.589 0.895 0.379
0.020 0.213 0.123
0.394 0.096 0.872
0.892 0.381 0.587
0.012 0.299 0.898
0.212 0.584 0.185
0.295 0.889 0.016
0.115 0.015 0.211
0.789 0.413 0.807
0.208 0.118 0.009
0.710 0.516 0.620
0.910 0.287 0.304
0.396 0.793 0.775
0.518 0.395 0.808
0.101 0.982 0.692
0.499 0.997 0.500
0.497 0.499 0.997
0.003 0.499 0.001
0.000 0.000 0.000
0.001 0.003 0.503
0.005 0.503 0.502
0.496 0.500 0.498
0.873 0.752 0.626
0.367 0.744 0.125
0.880 0.625 0.253
0.753 0.127 0.383
0.250 0.376 0.127
0.500 0.999 0.000
0.747 0.625 0.872
0.629 0.250 0.872
0.131 0.255 0.378
0.250 0.871 0.618
0.623 0.872 0.745
0.375 0.127 0.253
0.124 0.375 0.750